The following is a PBE-GGA calculation of an optimized crystal structure of Na, from Materials Project.

Energy above the most stable polymorph in this dataset (eV/atom): 0.013
Volume (Å³/atom): 37.05
Space group: I4/mmm (139)
Density (g cm⁻³): 1.03
Total energy (eV/cell): -1.31

Geometry as CIF:
```
data_Na
_chemical_formula_sum 'Na1'
_symmetry_space_group_name_H-M 'P 1'
_symmetry_Int_Tables_number 1
_symmetry_space_group_name_Hall 'P 1'
_cell_length_a 3.781
_cell_length_b 3.781
_cell_length_c 3.781
_cell_angle_alpha 121.90
_cell_angle_beta 121.90
_cell_angle_gamma 86.74
loop_
_atom_site_label
_atom_site_type_symbol
_atom_site_fract_x
_atom_site_fract_y
_atom_site_fract_z
Na1 Na 0.000 0.000 0.000
```